(1)
LaZrF7: optimized geometry, r2SCAN.

Output
ΔH_f (0 K): -4.206 eV per atom
VASP energy: -12.47 eV per atom
crystal system: monoclinic

Cell: 6.3210 5.8762 8.5195 Å, 90.00 102.12 90.00°
Last column: nearest neighbours and their distance in Å.
Fractional coordinates of all 18 atoms:
La: 0.1599 0.0000 0.1874  8 F 2.31-2.49
La: 0.8401 0.5000 0.8126  8 F 2.31-2.49
Zr: 0.3087 0.0101 0.7231  6 F 2.01-2.02
Zr: 0.6913 0.5101 0.2769  6 F 2.01-2.02
F: 0.0544 0.8000 0.7150  1 Zr 2.02
F: 0.0589 0.6753 0.0307  2 La 2.31-2.34
F: 0.1184 0.2888 0.7124  1 Zr 2.02
F: 0.2549 0.9981 0.4822  1 Zr 2.01
F: 0.3601 0.0151 0.9650  1 Zr 2.02
F: 0.4460 0.7299 0.2750  1 Zr 2.02
F: 0.4704 0.2571 0.2612  1 Zr 2.02
F: 0.5296 0.7571 0.7388  1 Zr 2.02
F: 0.5540 0.2299 0.7250  1 Zr 2.02
F: 0.6399 0.5151 0.0350  1 Zr 2.02
F: 0.7451 0.4981 0.5178  1 Zr 2.01
F: 0.8816 0.7888 0.2876  1 Zr 2.02
F: 0.9411 0.1753 0.9693  2 La 2.31-2.34
F: 0.9456 0.3000 0.2850  1 Zr 2.02



(2)
Li2MnF6: optimized geometry, r2SCAN.

Output
ΔH_f (0 K): -2.952 eV per atom
VASP energy: -7.20 eV per atom
crystal system: monoclinic
relative energy among the computed polymorphs: 5.6 meV/atom

Cell: 4.8713 4.4515 16.3396 Å, 90.00 90.01 90.00°
Last column: nearest neighbours and their distance in Å.
Fractional coordinates of all 36 atoms:
Li: 0.2489 0.0051 0.4502  6 F 1.96-2.07
Li: 0.2489 0.4949 0.9502  6 F 1.96-2.07
Li: 0.2505 0.5062 0.2794  6 F 1.93-2.08
Li: 0.2505 0.9938 0.7794  6 F 1.93-2.08
Li: 0.7495 0.0062 0.2206  6 F 1.93-2.08
Li: 0.7495 0.4938 0.7206  6 F 1.93-2.08
Li: 0.7511 0.5051 0.0498  6 F 1.96-2.07
Li: 0.7511 0.9949 0.5498  6 F 1.96-2.07
Mn: 0.2501 0.0046 0.1203  6 F 1.81-1.83
Mn: 0.2501 0.4954 0.6203  6 F 1.81-1.83
Mn: 0.7499 0.5046 0.3797  6 F 1.81-1.83
Mn: 0.7499 0.9954 0.8797  6 F 1.81-1.83
F: 0.0586 0.7315 0.3752  1 Mn 1.81, 1 Li 1.96
F: 0.0586 0.7685 0.8752  1 Mn 1.81, 1 Li 1.96
F: 0.0921 0.7188 0.7012  1 Mn 1.82, 2 Li 1.93-1.97
F: 0.0921 0.7812 0.2012  1 Mn 1.82, 2 Li 1.93-1.97
F: 0.0994 0.7417 0.5445  1 Mn 1.81
F: 0.0994 0.7583 0.0445  1 Mn 1.81
F: 0.4011 0.2477 0.0439  1 Mn 1.81, 1 Li 2.03
F: 0.4011 0.2523 0.5439  1 Mn 1.81, 1 Li 2.03
F: 0.4081 0.2317 0.2005  1 Mn 1.83, 2 Li 1.94-1.97
F: 0.4081 0.2683 0.7005  1 Mn 1.83, 2 Li 1.94-1.97
F: 0.4411 0.2218 0.8745  1 Mn 1.81, 1 Li 1.97
F: 0.4411 0.2782 0.3745  1 Mn 1.81, 1 Li 1.97
F: 0.5589 0.7218 0.6255  1 Mn 1.81, 1 Li 1.97
F: 0.5589 0.7782 0.1255  1 Mn 1.81, 1 Li 1.97
F: 0.5919 0.7317 0.2995  1 Mn 1.83, 2 Li 1.94-1.97
F: 0.5919 0.7683 0.7995  1 Mn 1.83, 2 Li 1.94-1.97
F: 0.5989 0.7477 0.4561  1 Mn 1.81, 1 Li 2.03
F: 0.5989 0.7523 0.9561  1 Mn 1.81, 1 Li 2.03
F: 0.9006 0.2417 0.9555  1 Mn 1.81
F: 0.9006 0.2583 0.4555  1 Mn 1.81
F: 0.9079 0.2188 0.7988  1 Mn 1.82, 2 Li 1.93-1.97
F: 0.9079 0.2812 0.2988  1 Mn 1.82, 2 Li 1.93-1.97
F: 0.9414 0.2315 0.1248  1 Mn 1.81, 1 Li 1.96
F: 0.9414 0.2685 0.6248  1 Mn 1.81, 1 Li 1.96